Record 1
Below is DyAs after structural relaxation, with properties calculated at the meta-GGA r2SCAN level.

Cell lengths 5.8065, 5.8065, 5.8065 Å; angles 90.00, 90.00, 90.00 degrees
With the nearest neighbours (Å) after each atom.
Space group Fm-3m (No. 225)
One atom of each set of equivalent atoms:
Dy 0.0000 0.0000 0.0000 x4  6 As 2.90
As 0.0000 0.0000 0.5000 x4  6 Dy 2.90

Results
* formation enthalpy at 0 K: -1.811 eV/atom
* magnetization: 0.0 μB per cell



Record 2
Below is DyAsO4 after structural relaxation, with properties calculated at the meta-GGA r2SCAN level.

Cell lengths 7.0596, 7.0596, 6.3067 Å; angles 90.00, 90.00, 90.00 degrees
With the nearest neighbours (Å) after each atom.
Space group I4_1/amd (No. 141, origin choice 2)
One atom of each set of equivalent atoms:
Dy 0.0000 0.2500 0.3750 x4  8 O 2.29-2.42
As 0.0000 0.2500 0.8750 x4  4 O 1.69
O 0.0000 0.0682 0.6997 x16  1 As 1.69

Results
* formation enthalpy at 0 K: -2.646 eV/atom
* magnetization: 0.0 μB per cell



Record 3
Below is DyAsPd after structural relaxation, with properties calculated at the meta-GGA r2SCAN level.

Cell lengths 7.0592, 4.1157, 7.9028 Å; angles 90.00, 90.00, 90.00 degrees
With the nearest neighbours (Å) after each atom.
Space group Pnma (No. 62)
One atom of each set of equivalent atoms:
Dy 0.0311 0.2500 0.1930 x4  5 As 2.90-2.98, 5 Pd 3.03-3.25
As 0.2471 0.2500 0.8805 x4  4 Pd 2.61-2.84, 3 Dy 2.90
Pd 0.1437 0.2500 0.5632 x4  4 As 2.61-2.84

Results
* formation enthalpy at 0 K: -1.315 eV/atom
* magnetization: 0.0 μB per cell